(1)
Crystalline Li7Mn2Co3O12 at its relaxed geometry, computed with GGA+U.

Cell and atoms, written as POSCAR:
```
Li7Mn2Co3O12
1.0
7.622 -1.463 0.000
7.622 1.463 0.000
-6.799 0.000 9.659
Li Mn Co O
7 2 3 12
direct
0.000 0.000 0.000
0.000 0.000 0.245
0.000 0.000 0.755
0.333 0.333 0.254
0.341 0.341 0.755
0.659 0.659 0.245
0.667 0.667 0.746
0.339 0.339 0.003
0.661 0.661 0.997
0.000 0.000 0.500
0.334 0.334 0.500
0.666 0.666 0.500
0.166 0.166 0.616
0.168 0.168 0.384
0.169 0.169 0.111
0.175 0.175 0.894
0.484 0.484 0.117
0.498 0.498 0.615
0.502 0.502 0.385
0.516 0.516 0.883
0.825 0.825 0.106
0.831 0.831 0.889
0.832 0.832 0.616
0.834 0.834 0.384
```

Summary:
calculated volume = 215.4 Å³ per cell
crystal system = monoclinic
space group = C2/m, No. 12
energy = -5.89 eV per atom
ΔE to the lowest computed polymorph = 0.83 eV/f.u.
formation energy from the elements = -1.899 eV per atom

(2)
Crystalline Li7Mn2Co3O12 at its relaxed geometry, computed with GGA+U.

Cell and atoms, written as POSCAR:
```
Li7Mn2Co3O12
1.0
3.027 0.000 0.000
-1.020 7.462 0.000
-0.934 -0.371 9.658
Li Mn Co O
7 2 3 12
direct
0.000 0.000 0.000
0.084 0.417 0.753
0.170 0.833 0.507
0.327 0.669 0.999
0.502 0.500 0.511
0.665 0.332 0.997
0.840 0.167 0.505
0.589 0.920 0.253
0.913 0.581 0.253
0.251 0.250 0.253
0.429 0.094 0.755
0.740 0.740 0.751
0.054 0.198 0.869
0.114 0.635 0.638
0.231 0.049 0.369
0.269 0.451 0.136
0.394 0.884 0.862
0.449 0.266 0.637
0.565 0.711 0.371
0.600 0.127 0.139
0.721 0.568 0.869
0.773 0.949 0.644
0.905 0.374 0.369
0.935 0.789 0.135
```

Summary:
calculated volume = 218.2 Å³ per cell
crystal system = triclinic
space group = P1, No. 1
energy = -5.83 eV per atom
ΔE to the lowest computed polymorph = 2.40 eV/f.u.
formation energy from the elements = -1.834 eV per atom

(3)
Crystalline Li7Mn2Co3O12 at its relaxed geometry, computed with GGA+U.

Cell and atoms, written as POSCAR:
```
Li7Mn2Co3O12
1.0
2.983 0.000 0.000
1.310 7.536 0.000
0.193 2.998 9.689
Li Mn Co O
7 2 3 12
direct
0.000 0.000 0.000
0.008 0.996 0.500
0.182 0.657 0.257
0.311 0.346 0.491
0.347 0.329 0.997
0.649 0.672 0.003
0.661 0.663 0.485
0.164 0.666 0.748
0.826 0.338 0.247
0.496 0.000 0.750
0.502 0.987 0.243
0.841 0.331 0.745
0.071 0.830 0.866
0.101 0.854 0.360
0.265 0.501 0.631
0.271 0.476 0.138
0.396 0.176 0.349
0.415 0.164 0.863
0.541 0.838 0.632
0.568 0.851 0.131
0.758 0.482 0.365
0.794 0.493 0.864
0.885 0.160 0.136
0.923 0.165 0.633
```

Summary:
calculated volume = 217.8 Å³ per cell
crystal system = triclinic
space group = P1, No. 1
energy = -5.85 eV per atom
ΔE to the lowest computed polymorph = 1.86 eV/f.u.
formation energy from the elements = -1.856 eV per atom

(4)
Crystalline Li4MnCo2O7 at its relaxed geometry, computed with GGA+U.

Cell and atoms, written as POSCAR:
```
Li4MnCo2O7
1.0
5.094 0.000 0.000
1.691 4.862 0.000
2.352 0.178 10.284
Li Mn Co O
8 2 4 14
direct
0.000 0.000 0.000
0.063 0.499 0.865
0.128 0.996 0.730
0.277 0.998 0.439
0.434 0.991 0.145
0.562 0.998 0.865
0.705 0.000 0.584
0.848 0.996 0.292
0.494 0.491 0.005
0.779 0.499 0.436
0.203 0.496 0.590
0.353 0.495 0.294
0.635 0.507 0.728
0.927 0.495 0.141
0.026 0.716 0.437
0.075 0.280 0.299
0.201 0.716 0.147
0.254 0.270 0.015
0.334 0.729 0.872
0.387 0.270 0.711
0.476 0.723 0.569
0.538 0.276 0.428
0.610 0.725 0.301
0.663 0.265 0.146
0.735 0.717 0.019
0.780 0.267 0.875
0.879 0.729 0.717
0.945 0.270 0.572
```

Summary:
calculated volume = 254.7 Å³ per cell
crystal system = triclinic
space group = P1, No. 1
energy = -5.84 eV per atom
ΔE to the lowest computed polymorph = 0.50 eV/f.u.
formation energy from the elements = -1.848 eV per atom

(5)
Crystalline Li4MnCo2O7 at its relaxed geometry, computed with GGA+U.

Cell and atoms, written as POSCAR:
```
Li4MnCo2O7
1.0
5.022 0.000 0.000
-0.864 5.044 0.000
-1.543 -2.176 9.814
Li Mn Co O
8 2 4 14
direct
0.000 0.000 0.000
0.009 0.998 0.503
0.163 0.273 0.296
0.276 0.561 0.564
0.417 0.853 0.851
0.578 0.142 0.148
0.731 0.425 0.430
0.873 0.716 0.703
0.573 0.138 0.637
0.711 0.429 0.923
0.141 0.285 0.781
0.284 0.577 0.074
0.429 0.846 0.362
0.858 0.717 0.222
0.053 0.613 0.888
0.088 0.638 0.382
0.221 0.906 0.174
0.235 0.962 0.683
0.359 0.242 0.952
0.388 0.203 0.473
0.493 0.470 0.753
0.501 0.500 0.241
0.634 0.807 0.541
0.641 0.756 0.025
0.782 0.037 0.313
0.790 0.101 0.814
0.911 0.371 0.090
0.923 0.341 0.619
```

Summary:
calculated volume = 248.6 Å³ per cell
crystal system = triclinic
space group = P1, No. 1
energy = -5.86 eV per atom
ΔE to the lowest computed polymorph = 0.30 eV/f.u.
formation energy from the elements = -1.863 eV per atom

(6)
Crystalline Li7Mn2Co3O12 at its relaxed geometry, computed with GGA+U.

Cell and atoms, written as POSCAR:
```
Li7Mn2Co3O12
1.0
2.572 -4.299 0.000
2.572 4.299 0.000
-1.413 0.000 9.613
Li Mn Co O
7 2 3 12
direct
0.000 0.000 0.000
0.081 0.408 0.241
0.248 0.242 0.762
0.398 0.066 0.240
0.592 0.919 0.759
0.758 0.752 0.238
0.934 0.602 0.760
0.499 0.501 0.500
0.837 0.163 0.500
0.168 0.832 0.500
0.335 0.665 0.000
0.674 0.326 0.000
0.032 0.671 0.108
0.112 0.105 0.382
0.221 0.555 0.615
0.329 0.968 0.892
0.407 0.397 0.113
0.445 0.779 0.385
0.526 0.189 0.605
0.603 0.593 0.887
0.696 0.060 0.117
0.811 0.474 0.395
0.895 0.888 0.618
0.940 0.304 0.883
```

Summary:
calculated volume = 212.6 Å³ per cell
crystal system = monoclinic
space group = C2, No. 5
energy = -5.86 eV per atom
ΔE to the lowest computed polymorph = 1.58 eV/f.u.
formation energy from the elements = -1.868 eV per atom

calculated volume of number 1 (Li7Mn2Co3O12)?
215.4 Å³ per cell

What did the first record say?
Crystalline Li7Mn2Co3O12 at its relaxed geometry, computed with GGA+U.

Cell and atoms, written as POSCAR:
```
Li7Mn2Co3O12
1.0
7.622 -1.463 0.000
7.622 1.463 0.000
-6.799 0.000 9.659
Li Mn Co O
7 2 3 12
direct
0.000 0.000 0.000
0.000 0.000 0.245
0.000 0.000 0.755
0.333 0.333 0.254
0.341 0.341 0.755
0.659 0.659 0.245
0.667 0.667 0.746
0.339 0.339 0.003
0.661 0.661 0.997
0.000 0.000 0.500
0.334 0.334 0.500
0.666 0.666 0.500
0.166 0.166 0.616
0.168 0.168 0.384
0.169 0.169 0.111
0.175 0.175 0.894
0.484 0.484 0.117
0.498 0.498 0.615
0.502 0.502 0.385
0.516 0.516 0.883
0.825 0.825 0.106
0.831 0.831 0.889
0.832 0.832 0.616
0.834 0.834 0.384
```

Summary:
calculated volume = 215.4 Å³ per cell
crystal system = monoclinic
space group = C2/m, No. 12
energy = -5.89 eV per atom
ΔE to the lowest computed polymorph = 0.83 eV/f.u.
formation energy from the elements = -1.899 eV per atom

The lowest calculated volume belongs to which entry?
number 6